1.
# Sr3Ti2O7 GGA-PBE relaxed
# * calculated formation energy: -80.56 kcal/mol of atoms
# * mass density: 4906 kg/m3
# * crystal system: tetragonal
data_Sr3Ti2O7
_chemical_formula_sum 'Sr6 Ti4 O14'
_symmetry_space_group_name_H-M 'I 4/m m m'
_symmetry_Int_Tables_number 139
_symmetry_space_group_name_Hall '-I 4 2'
_cell_length_a 3.9409
_cell_length_b 3.9409
_cell_length_c 20.5119
_cell_angle_alpha 90.00
_cell_angle_beta 90.00
_cell_angle_gamma 90.00
loop_
_atom_site_label
_atom_site_type_symbol
_atom_site_fract_x
_atom_site_fract_y
_atom_site_fract_z
Sr1 Sr 0.0000 0.0000 0.0000
Sr2 Sr 0.0000 0.0000 0.1843
Ti1 Ti 0.0000 0.0000 0.4022
O1 O 0.0000 0.0000 0.3062
O2 O 0.0000 0.0000 0.5000
O3 O 0.0000 0.5000 0.0963


2.
# Sr2TiO4 GGA-PBE relaxed
# * calculated formation energy: -79.43 kcal/mol of atoms
# * mass density: 4873 kg/m3
# * crystal system: tetragonal
data_Sr2TiO4
_chemical_formula_sum 'Sr4 Ti2 O8'
_symmetry_space_group_name_H-M 'I 4/m m m'
_symmetry_Int_Tables_number 139
_symmetry_space_group_name_Hall '-I 4 2'
_cell_length_a 3.9277
_cell_length_b 3.9277
_cell_length_c 12.6828
_cell_angle_alpha 90.00
_cell_angle_beta 90.00
_cell_angle_gamma 90.00
loop_
_atom_site_label
_atom_site_type_symbol
_atom_site_fract_x
_atom_site_fract_y
_atom_site_fract_z
Sr1 Sr 0.0000 0.0000 0.1453
Ti1 Ti 0.0000 0.0000 0.5000
O1 O 0.0000 0.0000 0.3418
O2 O 0.0000 0.5000 0.0000


3.
# SrTi11O20 GGA-PBE relaxed
# * calculated formation energy: -79.06 kcal/mol of atoms
# * mass density: 4349 kg/m3
# * crystal system: triclinic
data_SrTi11O20
_chemical_formula_sum 'Sr2 Ti22 O40'
_symmetry_space_group_name_H-M 'P -1'
_symmetry_Int_Tables_number 2
_cell_length_a 7.1840
_cell_length_b 7.7066
_cell_length_c 13.2802
_cell_angle_alpha 90.29
_cell_angle_beta 92.73
_cell_angle_gamma 103.74
loop_
_symmetry_equiv_pos_as_xyz
'x,y,z'
'-x,-y,-z'
loop_
_atom_site_label
_atom_site_type_symbol
_atom_site_fract_x
_atom_site_fract_y
_atom_site_fract_z
Sr1 Sr 0.0386 0.1876 0.2388
Ti1 Ti 0.1447 0.3647 0.7134
Ti2 Ti 0.1633 0.5674 0.0699
Ti3 Ti 0.1763 0.4209 0.4880
Ti4 Ti 0.1783 0.0665 0.5630
Ti5 Ti 0.1817 0.2882 0.9170
Ti6 Ti 0.1819 0.9217 0.9985
Ti7 Ti 0.1972 0.7965 0.4159
Ti8 Ti 0.4653 0.5691 0.2915
Ti9 Ti 0.4819 0.7928 0.6329
Ti10 Ti 0.4915 0.0708 0.7967
Ti11 Ti 0.4941 0.7042 0.8736
O1 O 0.0028 0.3180 0.0332
O2 O 0.0032 0.8219 0.5321
O3 O 0.0044 0.1209 0.6678
O4 O 0.0049 0.4052 0.8251
O5 O 0.0106 0.5471 0.3968
O6 O 0.0153 0.0453 0.9046
O7 O 0.3230 0.6719 0.5206
O8 O 0.3243 0.3771 0.3728
O9 O 0.3242 0.9558 0.6666
O10 O 0.3253 0.3300 0.5953
O11 O 0.3246 0.8833 0.8756
O12 O 0.3270 0.5352 0.9522
O13 O 0.3311 0.1750 0.0232
O14 O 0.3307 0.4485 0.1675
O15 O 0.3327 0.8188 0.0968
O16 O 0.3340 0.0462 0.4471
O17 O 0.3413 0.2636 0.7994
O18 O 0.3492 0.7666 0.3054
O19 O 0.3503 0.5975 0.7320
O20 O 0.3777 0.1168 0.2334


4.
# Sr5Ti9O23 GGA-PBE relaxed
# * magnetization: 0.0 μB per formula unit
# * calculated formation energy: -79.80 kcal/mol of atoms
# * mass density: 2867 kg/m3
# * crystal system: monoclinic
data_Sr5Ti9O23
_chemical_formula_sum 'Sr10 Ti18 O46'
_symmetry_space_group_name_H-M 'P 1 2/m 1'
_symmetry_Int_Tables_number 10
_cell_length_a 5.5798
_cell_length_b 8.0421
_cell_length_c 31.9314
_cell_angle_alpha 90.00
_cell_angle_beta 90.80
_cell_angle_gamma 90.00
loop_
_symmetry_equiv_pos_as_xyz
'x,y,z'
'-x,-y,-z'
'-x,y,-z'
'x,-y,z'
loop_
_atom_site_label
_atom_site_type_symbol
_atom_site_fract_x
_atom_site_fract_y
_atom_site_fract_z
Sr1 Sr 0.0000 0.0000 0.0000
Sr2 Sr 0.0000 0.5000 0.0000
Sr3 Sr 0.0050 0.0000 0.1742
Sr4 Sr 0.0102 0.5000 0.1714
Sr5 Sr 0.4971 0.5000 0.9128
Sr6 Sr 0.4979 0.0000 0.9139
Ti1 Ti 0.0023 0.2506 0.0868
Ti2 Ti 0.0443 0.2926 0.7353
Ti3 Ti 0.4625 0.2010 0.2690
Ti4 Ti 0.4933 0.2483 0.8271
Ti5 Ti 0.5000 0.2490 0.0000
O1 O 0.0004 0.0000 0.0885
O2 O 0.0114 0.5000 0.0844
O3 O 0.0631 0.5000 0.2516
O4 O 0.1866 0.1984 0.2988
O5 O 0.2379 0.2287 0.7822
O6 O 0.2396 0.2628 0.8698
O7 O 0.2446 0.2484 0.9570
O8 O 0.2522 0.2557 0.1313
O9 O 0.2564 0.2453 0.0440
O10 O 0.2704 0.2230 0.2183
O11 O 0.3094 0.3299 0.7049
O12 O 0.4012 0.0000 0.7236
O13 O 0.4823 0.0000 0.8345
O14 O 0.4964 0.5000 0.8262
O15 O 0.5000 0.0000 0.0000
O16 O 0.5000 0.5000 0.0000


5.
# Sr5ZrTi4O15 GGA-PBE relaxed
# * magnetization: 0.0 μB per formula unit
# * calculated formation energy: -82.04 kcal/mol of atoms
# * mass density: 5003 kg/m3
# * crystal system: trigonal
data_Sr5ZrTi4O15
_chemical_formula_sum 'Sr15 Zr3 Ti12 O45'
_symmetry_space_group_name_H-M 'R -3 m'
_symmetry_Int_Tables_number 166
_symmetry_space_group_name_Hall '-R 3 2"'
_cell_length_a 5.6459
_cell_length_b 5.6459
_cell_length_c 34.6555
_cell_angle_alpha 90.00
_cell_angle_beta 90.00
_cell_angle_gamma 120.00
loop_
_atom_site_label
_atom_site_type_symbol
_atom_site_fract_x
_atom_site_fract_y
_atom_site_fract_z
Sr1 Sr 0.0000 0.0000 0.0000
Sr2 Sr 0.0000 0.0000 0.2023
Sr3 Sr 0.0000 0.0000 0.3977
Zr1 Zr 0.0000 0.0000 0.5000
Ti1 Ti 0.0000 0.0000 0.0980
Ti2 Ti 0.0000 0.0000 0.3005
O1 O 0.0000 0.5000 0.0000
O2 O 0.0013 0.5006 0.3986
O3 O 0.0105 0.5053 0.7977


6.
# Sr4ZrTi3O12 GGA-PBE relaxed
# * magnetization: 0.0 μB per formula unit
# * calculated formation energy: -81.70 kcal/mol of atoms
# * mass density: 4972 kg/m3
# * crystal system: tetragonal
data_Sr4ZrTi3O12
_chemical_formula_sum 'Sr4 Zr1 Ti3 O12'
_symmetry_space_group_name_H-M 'P 4/m m m'
_symmetry_Int_Tables_number 123
_symmetry_space_group_name_Hall '-P 4 2'
_cell_length_a 4.0281
_cell_length_b 4.0281
_cell_length_c 15.9986
_cell_angle_alpha 90.00
_cell_angle_beta 90.00
_cell_angle_gamma 90.00
loop_
_atom_site_label
_atom_site_type_symbol
_atom_site_fract_x
_atom_site_fract_y
_atom_site_fract_z
Sr1 Sr 0.0000 0.0000 0.1220
Sr2 Sr 0.0000 0.0000 0.3636
Zr1 Zr 0.5000 0.5000 0.5000
Ti1 Ti 0.5000 0.5000 0.0000
Ti2 Ti 0.5000 0.5000 0.2454
O1 O 0.0000 0.5000 0.0000
O2 O 0.0000 0.5000 0.2452
O3 O 0.0000 0.5000 0.5000
O4 O 0.5000 0.5000 0.1223
O5 O 0.5000 0.5000 0.3657


7.
# Sr5ZrTi4O15 GGA-PBE relaxed
# * magnetization: 0.0 μB per formula unit
# * calculated formation energy: -81.76 kcal/mol of atoms
# * mass density: 4999 kg/m3
# * crystal system: orthorhombic
data_Sr5ZrTi4O15
_chemical_formula_sum 'Sr10 Zr2 Ti8 O30'
_symmetry_space_group_name_H-M 'C m m m'
_symmetry_Int_Tables_number 65
_symmetry_space_group_name_Hall '-C 2 2'
_cell_length_a 5.6351
_cell_length_b 28.2055
_cell_length_c 4.0159
_cell_angle_alpha 90.00
_cell_angle_beta 90.00
_cell_angle_gamma 90.00
loop_
_atom_site_label
_atom_site_type_symbol
_atom_site_fract_x
_atom_site_fract_y
_atom_site_fract_z
Sr1 Sr 0.0000 0.0000 0.0000
Sr2 Sr 0.0000 0.2007 0.0000
Sr3 Sr 0.0000 0.3948 0.0000
Zr1 Zr 0.0000 0.5000 0.5000
Ti1 Ti 0.0000 0.1024 0.5000
Ti2 Ti 0.0000 0.2989 0.5000
O1 O 0.0000 0.1038 0.0000
O2 O 0.0000 0.2993 0.0000
O3 O 0.0000 0.5000 0.0000
O4 O 0.2394 0.0529 0.5000
O5 O 0.2471 0.3483 0.5000
O6 O 0.2500 0.2500 0.5000


8.
# Sr4ZrTi3O12 GGA-PBE relaxed
# * magnetization: 0.0 μB per formula unit
# * calculated formation energy: -81.90 kcal/mol of atoms
# * mass density: 4991 kg/m3
# * crystal system: orthorhombic
data_Sr4ZrTi3O12
_chemical_formula_sum 'Sr4 Zr1 Ti3 O12'
_symmetry_space_group_name_H-M 'P m m m'
_symmetry_Int_Tables_number 47
_cell_length_a 4.0373
_cell_length_b 5.6573
_cell_length_c 11.3238
_cell_angle_alpha 90.00
_cell_angle_beta 90.00
_cell_angle_gamma 90.00
loop_
_symmetry_equiv_pos_as_xyz
'x,y,z'
'-x,-y,-z'
'-x,-y,z'
'x,y,-z'
'x,-y,-z'
'-x,y,z'
'-x,y,-z'
'x,-y,z'
loop_
_atom_site_label
_atom_site_type_symbol
_atom_site_fract_x
_atom_site_fract_y
_atom_site_fract_z
Sr1 Sr 0.0000 0.0000 0.0000
Sr2 Sr 0.0000 0.0000 0.5000
Sr3 Sr 0.0000 0.5000 0.2377
Zr1 Zr 0.5000 0.5000 0.5000
Ti1 Ti 0.5000 0.0000 0.2451
Ti2 Ti 0.5000 0.5000 0.0000
O1 O 0.0000 0.0000 0.2416
O2 O 0.0000 0.5000 0.0000
O3 O 0.0000 0.5000 0.5000
O4 O 0.5000 0.2396 0.3678
O5 O 0.5000 0.2523 0.1221


9.
# Sr5ZrTi4O15 GGA-PBE relaxed
# * magnetization: 0.0 μB per formula unit
# * calculated formation energy: -81.71 kcal/mol of atoms
# * mass density: 4967 kg/m3
# * crystal system: tetragonal
data_Sr5ZrTi4O15
_chemical_formula_sum 'Sr5 Zr1 Ti4 O15'
_symmetry_space_group_name_H-M 'P 4/m m m'
_symmetry_Int_Tables_number 123
_symmetry_space_group_name_Hall '-P 4 2'
_cell_length_a 4.0140
_cell_length_b 4.0140
_cell_length_c 19.9376
_cell_angle_alpha 90.00
_cell_angle_beta 90.00
_cell_angle_gamma 90.00
loop_
_atom_site_label
_atom_site_type_symbol
_atom_site_fract_x
_atom_site_fract_y
_atom_site_fract_z
Sr1 Sr 0.0000 0.0000 0.0000
Sr2 Sr 0.0000 0.0000 0.1968
Sr3 Sr 0.0000 0.0000 0.3906
Zr1 Zr 0.5000 0.5000 0.5000
Ti1 Ti 0.5000 0.5000 0.0989
Ti2 Ti 0.5000 0.5000 0.2958
O1 O 0.0000 0.5000 0.0991
O2 O 0.0000 0.5000 0.2956
O3 O 0.0000 0.5000 0.5000
O4 O 0.5000 0.5000 0.0000
O5 O 0.5000 0.5000 0.1969
O6 O 0.5000 0.5000 0.3923


10.
# Sr2Tl2O5 GGA-PBE relaxed
# * calculated formation energy: -47.04 kcal/mol of atoms
# * mass density: 7521 kg/m3
# * crystal system: orthorhombic
data_Sr2Tl2O5
_chemical_formula_sum 'Sr8 Tl8 O20'
_symmetry_space_group_name_H-M 'C m c 21'
_symmetry_Int_Tables_number 36
_cell_length_a 3.5630
_cell_length_b 11.6702
_cell_length_c 14.1023
_cell_angle_alpha 90.00
_cell_angle_beta 90.00
_cell_angle_gamma 90.00
loop_
_symmetry_equiv_pos_as_xyz
'x,y,z'
'-x,-y,z+1/2'
'-x,y,z'
'x,-y,z+1/2'
'x+1/2,y+1/2,z'
'-x+1/2,-y+1/2,z+1/2'
'-x+1/2,y+1/2,z'
'x+1/2,-y+1/2,z+1/2'
loop_
_atom_site_label
_atom_site_type_symbol
_atom_site_fract_x
_atom_site_fract_y
_atom_site_fract_z
Sr1 Sr 0.0000 0.0331 0.0000
Sr2 Sr 0.0000 0.2134 0.3462
Tl1 Tl 0.0000 0.2358 0.6265
Tl2 Tl 0.0000 0.4891 0.2348
O1 O 0.0000 0.1207 0.1791
O2 O 0.0000 0.1601 0.7684
O3 O 0.0000 0.3181 0.4935
O4 O 0.0000 0.4067 0.0962
O5 O 0.0000 0.4396 0.8753


11.
# Sr2Tl2O5 GGA-PBE relaxed
# * calculated formation energy: -46.90 kcal/mol of atoms
# * mass density: 7537 kg/m3
# * crystal system: monoclinic
data_Sr2Tl2O5
_chemical_formula_sum 'Sr8 Tl8 O20'
_symmetry_space_group_name_H-M 'P 1 21/c 1'
_symmetry_Int_Tables_number 14
_cell_length_a 6.0990
_cell_length_b 14.1241
_cell_length_c 7.0852
_cell_angle_alpha 90.00
_cell_angle_beta 106.51
_cell_angle_gamma 90.00
loop_
_symmetry_equiv_pos_as_xyz
'x,y,z'
'-x,-y,-z'
'-x,y+1/2,-z+1/2'
'x,-y+1/2,z+1/2'
loop_
_atom_site_label
_atom_site_type_symbol
_atom_site_fract_x
_atom_site_fract_y
_atom_site_fract_z
Sr1 Sr 0.0461 0.1133 0.1358
Sr2 Sr 0.4369 0.7367 0.7378
Tl1 Tl 0.0450 0.1069 0.6367
Tl2 Tl 0.5000 0.0000 0.0000
Tl3 Tl 0.5000 0.0000 0.5000
O1 O 0.1406 0.7343 0.9176
O2 O 0.2079 0.5347 0.1764
O3 O 0.2332 0.5541 0.6852
O4 O 0.3339 0.1386 0.4643
O5 O 0.3500 0.1390 0.9628


12.
# SrTmO3 GGA-PBE relaxed
# * magnetization: 1.0 μB per formula unit
# * calculated formation energy: -71.98 kcal/mol of atoms
# * mass density: 6289 kg/m3
# * crystal system: cubic
data_SrTmO3
_chemical_formula_sum 'Sr1 Tm1 O3'
_symmetry_space_group_name_H-M 'P m -3 m'
_symmetry_Int_Tables_number 221
_symmetry_space_group_name_Hall '-P 4 2 3'
_cell_length_a 4.3163
_cell_length_b 4.3163
_cell_length_c 4.3163
_cell_angle_alpha 90.00
_cell_angle_beta 90.00
_cell_angle_gamma 90.00
loop_
_atom_site_label
_atom_site_type_symbol
_atom_site_fract_x
_atom_site_fract_y
_atom_site_fract_z
Sr1 Sr 0.0000 0.0000 0.0000
Tm1 Tm 0.5000 0.5000 0.5000
O1 O 0.0000 0.5000 0.5000


13.
# SrU2O6 GGA-PBE relaxed
# * magnetization: 2.0 μB per formula unit
# * calculated formation energy: -84.63 kcal/mol of atoms
# * mass density: 9059 kg/m3
# * crystal system: orthorhombic
data_SrU2O6
_chemical_formula_sum 'Sr2 U4 O12'
_symmetry_space_group_name_H-M 'I m m m'
_symmetry_Int_Tables_number 71
_symmetry_space_group_name_Hall '-I 2 2'
_cell_length_a 3.8904
_cell_length_b 5.5308
_cell_length_c 11.2393
_cell_angle_alpha 90.00
_cell_angle_beta 90.00
_cell_angle_gamma 90.00
loop_
_atom_site_label
_atom_site_type_symbol
_atom_site_fract_x
_atom_site_fract_y
_atom_site_fract_z
Sr1 Sr 0.0000 0.0000 0.0000
U1 U 0.0000 0.0000 0.3347
O1 O 0.0000 0.2189 0.5000
O2 O 0.0000 0.2663 0.1787